VASP calculation (PBE) on a relaxed structure of Ta6Zn7.

```
data_Ta6Zn7
_chemical_formula_sum 'Ta18 Zn21'
_space_group_name_H-M_alt 'R -3 m'
_space_group_IT_number 166
_space_group_name_Hall '-R 3 2"'
_cell_length_a 5.0659
_cell_length_b 5.0659
_cell_length_c 27.4859
_cell_angle_alpha 90.00
_cell_angle_beta 90.00
_cell_angle_gamma 120.00
loop_
_atom_site_label
_atom_site_type_symbol
_atom_site_fract_x
_atom_site_fract_y
_atom_site_fract_z
_atom_site_occupancy
Ta1 Ta 0.0000 0.0000 0.0453 1
Ta2 Ta 0.0000 0.0000 0.1502 1
Ta3 Ta 0.0000 0.0000 0.3353 1
Zn1 Zn 0.0000 0.0000 0.5000 1
Zn2 Zn 0.0054 0.5027 0.9092 1
```

Summary:
**Calculated formation energy**: -0.09 eV/atom



VASP calculation (PBE) on a relaxed structure of Tb.

```
data_Tb
_chemical_formula_sum 'Tb6'
_space_group_name_H-M_alt 'P 63/m m c'
_space_group_IT_number 194
_space_group_name_Hall '-P 6c 2c'
_cell_length_a 3.5761
_cell_length_b 3.5761
_cell_length_c 17.3671
_cell_angle_alpha 90.00
_cell_angle_beta 90.00
_cell_angle_gamma 120.00
loop_
_atom_site_label
_atom_site_type_symbol
_atom_site_fract_x
_atom_site_fract_y
_atom_site_fract_z
_atom_site_occupancy
Tb1 Tb 0.0000 0.0000 0.2500 1
Tb2 Tb 0.3333 0.6667 0.0833 1
```

Summary:
**Calculated formation energy**: 0.01 eV/atom
**Offset from the most stable computed form**: 14 meV/atom



VASP calculation (PBE) on a relaxed structure of Tb.

```
data_Tb
_chemical_formula_sum 'Tb2'
_space_group_name_H-M_alt 'P 63/m m c'
_space_group_IT_number 194
_space_group_name_Hall '-P 6c 2c'
_cell_length_a 3.6404
_cell_length_b 3.6404
_cell_length_c 5.6636
_cell_angle_alpha 90.00
_cell_angle_beta 90.00
_cell_angle_gamma 120.00
loop_
_atom_site_label
_atom_site_type_symbol
_atom_site_fract_x
_atom_site_fract_y
_atom_site_fract_z
_atom_site_occupancy
Tb1 Tb 0.3333 0.6667 0.2500 1
```

Summary:
**Calculated formation energy**: 0.02 eV/atom
**Offset from the most stable computed form**: 19 meV/atom